# 1
Material: AlBPbO4
Method: DFT, PBE
State: optimized geometry

Structure (POSCAR):
```
AlBPbO4
1.0
7.154 0.000 0.000
0.000 9.535 0.000
0.000 0.000 9.980
Al B Pb O
8 8 8 32
Direct
0.500 0.000 0.500
0.000 0.750 0.165
0.000 0.250 0.835
0.500 0.750 0.665
0.000 0.000 0.000
0.500 0.250 0.335
0.500 0.500 0.500
0.000 0.500 0.000
0.779 0.253 0.094
0.721 0.253 0.594
0.721 0.753 0.406
0.779 0.753 0.906
0.221 0.247 0.094
0.221 0.747 0.906
0.279 0.747 0.406
0.279 0.247 0.594
0.572 0.547 0.172
0.428 0.453 0.828
0.428 0.953 0.172
0.928 0.547 0.672
0.572 0.047 0.828
0.072 0.453 0.328
0.928 0.047 0.328
0.072 0.953 0.672
0.332 0.887 0.392
0.672 0.314 0.195
0.832 0.113 0.108
0.668 0.113 0.608
0.835 0.830 0.017
0.668 0.613 0.392
0.332 0.387 0.608
0.402 0.929 0.656
0.902 0.071 0.844
0.832 0.613 0.892
0.828 0.314 0.695
0.098 0.929 0.156
0.665 0.830 0.517
0.328 0.686 0.805
0.172 0.186 0.695
0.172 0.686 0.305
0.328 0.186 0.195
0.098 0.429 0.844
0.672 0.814 0.805
0.665 0.330 0.483
0.598 0.071 0.344
0.835 0.330 0.983
0.335 0.670 0.517
0.335 0.170 0.483
0.168 0.387 0.108
0.828 0.814 0.305
0.165 0.170 0.983
0.598 0.571 0.656
0.902 0.571 0.156
0.165 0.670 0.017
0.168 0.887 0.892
0.402 0.429 0.344
```

Properties
- Density: 6.03 g/cm³
- DFT total energy: -401.78 eV per cell
- Corrected total energy (MP2020 scheme): -0.2781 hartree per atom



# 2
Material: AlBPbO4
Method: DFT, PBE
State: optimized geometry

Structure (POSCAR):
```
AlBPbO4
1.0
-3.990 -4.227 0.353
0.276 -0.846 -7.008
5.944 -5.536 0.902
Al B Pb O
4 4 4 16
Direct
0.000 0.500 0.500
0.000 0.000 0.000
0.500 0.000 0.000
0.500 0.500 0.500
0.750 0.727 0.758
0.750 0.227 0.742
0.250 0.773 0.258
0.250 0.273 0.242
0.250 0.065 0.640
0.250 0.565 0.860
0.750 0.935 0.360
0.750 0.435 0.140
0.955 0.172 0.815
0.955 0.672 0.685
0.455 0.328 0.315
0.750 0.098 0.109
0.045 0.328 0.315
0.250 0.902 0.891
0.750 0.333 0.599
0.250 0.167 0.099
0.545 0.172 0.815
0.045 0.828 0.185
0.250 0.667 0.401
0.750 0.598 0.391
0.545 0.672 0.685
0.750 0.833 0.901
0.250 0.402 0.609
0.455 0.828 0.185
```

Properties
- Density: 6.10 g/cm³
- DFT total energy: -200.83 eV per cell
- Corrected total energy (MP2020 scheme): -0.2780 hartree per atom



# 3
Material: PrAl3B4O12
Method: DFT, PBE
State: optimized geometry

Structure (POSCAR):
```
PrAl3B4O12
1.0
4.723 3.674 0.000
-4.723 3.674 0.000
0.000 2.667 10.950
Pr Al B O
2 6 8 24
Direct
0.038 0.962 0.250
0.962 0.038 0.750
0.195 0.694 0.528
0.589 0.411 0.250
0.805 0.306 0.472
0.411 0.589 0.750
0.306 0.805 0.972
0.694 0.195 0.028
0.123 0.492 0.222
0.719 0.777 0.506
0.508 0.877 0.278
0.281 0.223 0.494
0.492 0.123 0.722
0.777 0.719 0.006
0.877 0.508 0.778
0.223 0.281 0.994
0.355 0.271 0.743
0.997 0.195 0.060
0.694 0.182 0.637
0.898 0.423 0.295
0.493 0.697 0.575
0.003 0.805 0.940
0.729 0.645 0.757
0.182 0.694 0.137
0.805 0.003 0.440
0.423 0.898 0.795
0.507 0.303 0.425
0.645 0.729 0.257
0.306 0.818 0.363
0.870 0.632 0.496
0.577 0.102 0.205
0.303 0.507 0.925
0.368 0.130 0.004
0.271 0.355 0.243
0.130 0.368 0.504
0.697 0.493 0.075
0.102 0.577 0.705
0.195 0.997 0.560
0.818 0.306 0.863
0.632 0.870 0.996
```

Properties
- Density: 4.00 g/cm³
- DFT total energy: -316.97 eV per cell
- Corrected total energy (MP2020 scheme): -0.3064 hartree per atom



# 4
Material: Al7Si3BO18
Method: DFT, PBE
State: optimized geometry

Structure (POSCAR):
```
Al7Si3BO18
1.0
4.798 0.000 0.000
0.000 11.850 0.000
0.000 0.000 20.273
Al Si B O
28 12 4 72
Direct
0.890 0.250 0.250
0.390 0.250 0.250
0.110 0.750 0.750
0.610 0.750 0.750
0.059 0.390 0.472
0.559 0.110 0.028
0.941 0.890 0.528
0.441 0.610 0.972
0.941 0.610 0.528
0.441 0.890 0.972
0.059 0.110 0.472
0.559 0.390 0.028
0.560 0.509 0.431
0.060 0.991 0.069
0.440 0.009 0.569
0.940 0.491 0.931
0.440 0.491 0.569
0.940 0.009 0.931
0.560 0.991 0.431
0.060 0.509 0.069
0.554 0.644 0.287
0.054 0.856 0.213
0.446 0.144 0.713
0.946 0.356 0.787
0.446 0.356 0.713
0.946 0.144 0.787
0.554 0.856 0.287
0.054 0.644 0.213
0.589 0.250 0.404
0.089 0.250 0.096
0.411 0.750 0.596
0.911 0.750 0.904
0.087 0.474 0.328
0.587 0.026 0.172
0.913 0.974 0.672
0.413 0.526 0.828
0.913 0.526 0.672
0.413 0.974 0.828
0.087 0.026 0.328
0.587 0.474 0.172
0.723 0.750 0.416
0.223 0.750 0.084
0.277 0.250 0.584
0.777 0.250 0.916
0.643 0.250 0.323
0.143 0.250 0.177
0.357 0.750 0.677
0.857 0.750 0.823
0.140 0.357 0.286
0.640 0.143 0.214
0.860 0.857 0.714
0.360 0.643 0.786
0.860 0.643 0.714
0.360 0.857 0.786
0.140 0.143 0.286
0.640 0.357 0.214
0.398 0.360 0.424
0.898 0.140 0.076
0.602 0.860 0.576
0.102 0.640 0.924
0.602 0.640 0.576
0.102 0.860 0.924
0.398 0.140 0.424
0.898 0.360 0.076
0.897 0.449 0.393
0.397 0.051 0.107
0.103 0.949 0.607
0.603 0.551 0.893
0.103 0.551 0.607
0.603 0.949 0.893
0.897 0.051 0.393
0.397 0.449 0.107
0.896 0.562 0.283
0.396 0.938 0.217
0.104 0.062 0.717
0.604 0.438 0.783
0.104 0.438 0.717
0.604 0.062 0.783
0.896 0.938 0.283
0.396 0.562 0.217
0.878 0.250 0.452
0.378 0.250 0.048
0.122 0.750 0.548
0.622 0.750 0.952
0.379 0.543 0.349
0.879 0.957 0.151
0.621 0.043 0.651
0.121 0.457 0.849
0.621 0.457 0.651
0.121 0.043 0.849
0.379 0.957 0.349
0.879 0.543 0.151
0.261 0.750 0.271
0.761 0.750 0.229
0.739 0.250 0.729
0.239 0.250 0.771
0.650 0.750 0.351
0.150 0.750 0.149
0.350 0.250 0.649
0.850 0.250 0.851
0.756 0.649 0.448
0.256 0.851 0.052
0.244 0.149 0.552
0.744 0.351 0.948
0.244 0.351 0.552
0.744 0.149 0.948
0.756 0.851 0.448
0.256 0.649 0.052
0.250 0.534 0.488
0.750 0.966 0.012
0.750 0.034 0.512
0.250 0.466 0.988
0.750 0.466 0.512
0.250 0.034 0.988
0.250 0.966 0.488
0.750 0.534 0.012
```

Properties
- Density: 3.30 g/cm³
- DFT total energy: -889.93 eV per cell
- Corrected total energy (MP2020 scheme): -0.2976 hartree per atom



# 5
Material: Al9Si2BO19
Method: DFT, PBE
State: optimized geometry

Structure (POSCAR):
```
Al9Si2BO19
1.0
2.897 7.586 0.000
-2.897 7.586 0.000
0.000 0.317 7.670
Al Si B O
9 2 1 19
Direct
0.551 0.551 0.833
0.438 0.438 0.314
0.379 0.865 0.164
0.865 0.379 0.164
0.629 0.136 0.650
0.136 0.629 0.650
0.747 0.747 0.853
0.204 0.204 0.493
0.703 0.703 0.497
0.296 0.296 0.996
0.049 0.049 0.819
0.977 0.977 0.363
0.549 0.549 0.237
0.456 0.456 0.710
0.686 0.686 0.056
0.319 0.319 0.546
0.951 0.951 0.736
0.050 0.050 0.252
0.192 0.192 0.073
0.806 0.806 0.608
0.284 0.822 0.945
0.822 0.284 0.945
0.729 0.149 0.421
0.149 0.729 0.421
0.539 0.079 0.867
0.079 0.539 0.867
0.441 0.933 0.372
0.933 0.441 0.372
0.365 0.365 0.147
0.651 0.651 0.709
0.125 0.125 0.667
```

Properties
- Density: 3.02 g/cm³
- DFT total energy: -236.29 eV per cell
- Corrected total energy (MP2020 scheme): -0.2956 hartree per atom



# 6
Material: SrAlBO4
Method: DFT, PBE
State: optimized geometry

Structure (POSCAR):
```
SrAlBO4
1.0
-3.314 4.734 0.568
-4.532 -3.963 6.589
9.455 5.446 9.778
Sr Al B O
8 8 8 32
Direct
0.188 0.080 0.652
0.188 0.420 0.848
0.312 0.580 0.348
0.312 0.920 0.152
0.812 0.920 0.348
0.812 0.580 0.152
0.688 0.420 0.652
0.688 0.080 0.848
0.370 0.708 0.572
0.370 0.792 0.928
0.130 0.208 0.428
0.130 0.292 0.072
0.630 0.292 0.428
0.630 0.208 0.072
0.870 0.792 0.572
0.870 0.708 0.928
0.682 0.402 0.911
0.182 0.402 0.589
0.182 0.098 0.911
0.318 0.902 0.411
0.318 0.598 0.089
0.818 0.598 0.411
0.818 0.902 0.089
0.682 0.098 0.589
0.924 0.713 0.461
0.424 0.713 0.039
0.424 0.787 0.461
0.076 0.213 0.961
0.076 0.287 0.539
0.576 0.287 0.961
0.576 0.213 0.539
0.924 0.787 0.039
0.143 0.805 0.625
0.143 0.695 0.875
0.357 0.305 0.375
0.357 0.195 0.125
0.857 0.195 0.375
0.857 0.305 0.125
0.643 0.695 0.625
0.643 0.805 0.875
0.674 0.389 0.818
0.674 0.111 0.682
0.826 0.889 0.182
0.826 0.611 0.318
0.326 0.611 0.182
0.326 0.889 0.318
0.174 0.111 0.818
0.174 0.389 0.682
0.787 0.520 0.955
0.787 0.980 0.545
0.713 0.020 0.045
0.713 0.480 0.455
0.213 0.480 0.045
0.213 0.020 0.455
0.287 0.980 0.955
0.287 0.520 0.545
```

Properties
- Density: 3.31 g/cm³
- DFT total energy: -414.05 eV per cell
- Corrected total energy (MP2020 scheme): -0.2861 hartree per atom



# 7
Material: TmAl3B4O12
Method: DFT, PBE
State: optimized geometry

Structure (POSCAR):
```
TmAl3B4O12
1.0
3.626 -4.670 0.000
3.626 4.670 0.000
-2.387 0.000 5.409
Tm Al B O
1 3 4 12
Direct
0.000 0.000 0.000
0.445 0.000 0.555
0.555 0.445 0.000
0.000 0.555 0.445
0.944 0.056 0.500
0.500 0.944 0.056
0.056 0.500 0.944
0.500 0.500 0.500
0.908 0.500 0.092
0.500 0.092 0.908
0.092 0.908 0.500
0.649 0.500 0.351
0.500 0.351 0.649
0.351 0.649 0.500
0.029 0.631 0.782
0.631 0.782 0.029
0.782 0.029 0.631
0.369 0.971 0.218
0.971 0.218 0.369
0.218 0.369 0.971
```

Properties
- Density: 4.40 g/cm³
- DFT total energy: -158.63 eV per cell
- Corrected total energy (MP2020 scheme): -0.3066 hartree per atom



# 8
Material: UAl4B3O14
Method: DFT, PBE
State: optimized geometry

Structure (POSCAR):
```
UAl4B3O14
1.0
-3.801 2.636 -3.246
-6.065 0.487 7.496
1.249 8.907 5.768
U Al B O
2 8 6 28
Direct
0.250 0.106 0.226
0.750 0.894 0.774
0.250 0.414 0.768
0.750 0.586 0.232
0.000 0.500 0.500
0.500 0.500 0.500
0.750 0.860 0.328
0.250 0.140 0.672
0.000 0.500 0.000
0.500 0.500 0.000
0.250 0.792 0.417
0.750 0.208 0.583
0.750 0.492 0.751
0.250 0.508 0.249
0.250 0.786 0.857
0.750 0.214 0.143
0.750 0.640 0.430
0.250 0.360 0.570
0.250 0.022 0.102
0.750 0.978 0.898
0.250 0.638 0.475
0.750 0.362 0.525
0.048 0.877 0.382
0.548 0.123 0.618
0.952 0.123 0.618
0.452 0.877 0.382
0.250 0.511 0.121
0.750 0.489 0.879
0.250 0.460 0.909
0.750 0.540 0.091
0.036 0.714 0.895
0.536 0.286 0.105
0.964 0.286 0.105
0.464 0.714 0.895
0.250 0.221 0.798
0.750 0.779 0.202
0.963 0.489 0.685
0.463 0.511 0.315
0.037 0.511 0.315
0.537 0.489 0.685
0.250 0.183 0.355
0.750 0.817 0.645
0.750 0.064 0.229
0.250 0.936 0.771
```

Properties
- Density: 3.72 g/cm³
- DFT total energy: -350.41 eV per cell
- Corrected total energy (MP2020 scheme): -0.3087 hartree per atom